# RbTbP2O7 (GGA-PBE, relaxed)
# - Crystal system: monoclinic
# - Uncorrected energy: -7.35 eV per atom
data_RbTbP2O7
_space_group_name_H-M_alt 'P 1 21/c 1'
_space_group_IT_number 14
_cell_length_a 7.9004
_cell_length_b 11.1359
_cell_length_c 8.8567
_cell_angle_alpha 90.00
_cell_angle_beta 105.52
_cell_angle_gamma 90.00
loop_
_space_group_symop_operation_xyz
'x,y,z'
'-x,-y,-z'
'-x,y+1/2,-z+1/2'
'x,-y+1/2,z+1/2'
loop_
_atom_site_label
_atom_site_fract_x
_atom_site_fract_y
_atom_site_fract_z
_atom_site_occupancy
Rb1 0.1815 0.1820 0.0565 1
Tb1 0.2380 0.5993 0.2575 1
P1 0.1325 0.5982 0.8230 1
P2 0.4332 0.6332 0.6918 1
O1 0.0083 0.5032 0.7269 1
O2 0.0814 0.7252 0.7585 1
O3 0.1503 0.5900 0.9979 1
O4 0.3262 0.5653 0.8020 1
O5 0.3293 0.6083 0.5226 1
O6 0.3856 0.0743 0.7657 1
O7 0.4475 0.7342 0.2389 1



# Rb3TeP2O14 (GGA-PBE, relaxed)
# - Crystal system: monoclinic
# - Uncorrected energy: -5.31 eV per atom
data_Rb3TeP2O14
_space_group_name_H-M_alt 'P 1 21/c 1'
_space_group_IT_number 14
_cell_length_a 8.5712
_cell_length_b 7.0353
_cell_length_c 12.5436
_cell_angle_alpha 90.00
_cell_angle_beta 91.39
_cell_angle_gamma 90.00
loop_
_space_group_symop_operation_xyz
'x,y,z'
'-x,-y,-z'
'-x,y+1/2,-z+1/2'
'x,-y+1/2,z+1/2'
loop_
_atom_site_label
_atom_site_fract_x
_atom_site_fract_y
_atom_site_fract_z
_atom_site_occupancy
Rb1 0.0000 0.0000 0.0000 1
Rb2 0.3289 0.0130 0.6807 1
Te1 0.5000 0.0000 0.0000 1
P1 0.1532 0.5177 0.8348 1
O1 0.0113 0.0638 0.3927 1
O2 0.1436 0.7345 0.8170 1
O3 0.1489 0.0987 0.2297 1
O4 0.3123 0.0017 0.3943 1
O5 0.3218 0.1200 0.9315 1
O6 0.3435 0.6862 0.5386 1
O7 0.4433 0.0932 0.1380 1



# RbTh2P3O12 (GGA-PBE, relaxed)
# - Crystal system: monoclinic
# - Uncorrected energy: -7.98 eV per atom
data_RbTh2P3O12
_space_group_name_H-M_alt 'C 1 2/c 1'
_space_group_IT_number 15
_cell_length_a 17.9714
_cell_length_b 6.9587
_cell_length_c 8.2408
_cell_angle_alpha 90.00
_cell_angle_beta 102.54
_cell_angle_gamma 90.00
loop_
_space_group_symop_operation_xyz
'x,y,z'
'-x,-y,-z'
'-x,y,-z+1/2'
'x,-y,z+1/2'
'x+1/2,y+1/2,z'
'-x+1/2,-y+1/2,-z'
'-x+1/2,y+1/2,-z+1/2'
'x+1/2,-y+1/2,z+1/2'
loop_
_atom_site_label
_atom_site_fract_x
_atom_site_fract_y
_atom_site_fract_z
_atom_site_occupancy
Rb1 0.0000 0.0942 0.2500 1
Th1 0.1544 0.4057 0.0335 1
P1 0.0000 0.4052 0.7500 1
P2 0.1919 0.0916 0.6822 1
O1 0.0274 0.2844 0.9094 1
O2 0.0715 0.4692 0.2433 1
O3 0.1446 0.0938 0.1504 1
O4 0.1548 0.2576 0.5713 1
O5 0.2042 0.1523 0.8704 1
O6 0.2236 0.4474 0.3304 1



# RbTiPO5 (GGA-PBE, relaxed)
# - Energy relative to the lowest polymorph listed for this composition: 0.0000 eV per atom
# - Crystal system: orthorhombic
# - Uncorrected energy: -7.49 eV per atom
data_RbTiPO5
_space_group_name_H-M_alt 'P n a 21'
_space_group_IT_number 33
_cell_length_a 13.1380
_cell_length_b 6.5947
_cell_length_c 10.6744
_cell_angle_alpha 90.00
_cell_angle_beta 90.00
_cell_angle_gamma 90.00
loop_
_space_group_symop_operation_xyz
'x,y,z'
'-x,-y,z+1/2'
'-x+1/2,y+1/2,z+1/2'
'x+1/2,-y+1/2,z'
loop_
_atom_site_label
_atom_site_fract_x
_atom_site_fract_y
_atom_site_fract_z
_atom_site_occupancy
Rb1 0.1064 0.1928 0.0000 1
Rb2 0.1169 0.7828 0.2501 1
Ti1 0.1287 0.4984 0.5709 1
Ti2 0.2469 0.7628 0.8198 1
P1 0.0001 0.3359 0.3148 1
P2 0.1796 0.0028 0.5626 1
O1 0.0143 0.4808 0.4264 1
O2 0.0149 0.5375 0.6924 1
O3 0.0954 0.8012 0.8369 1
O4 0.0968 0.2036 0.2932 1
O5 0.1138 0.1923 0.5915 1
O6 0.1138 0.8142 0.5326 1
O7 0.2205 0.4573 0.4328 1
O8 0.2229 0.5511 0.6852 1
O9 0.2494 0.4593 0.1762 1
O10 0.2501 0.0438 0.4471 1



Number 1: energy relative to the elements -3.140 eV per atom. Number 2: energy relative to the elements -1.486 eV per atom. Number 3: energy relative to the elements -3.359 eV per atom. Number 4: energy relative to the elements -3.039 eV per atom.